# 1
## AgBiI4O12 (PBE)

Data for AgBiI4O12 after structural relaxation.

Output
* calculated formation energy: -926 meV/atom
* uncorrected energy: -4.479 eV per atom

Unit cell a=32.152 b=5.689 c=12.881 alpha=90.00 beta=90.61 gamma=90.00
Space group Cc (No. 9)
Asymmetric unit:
Ag1 0.000 0.210 0.000
Ag2 0.073 0.265 0.413
Bi1 0.117 0.285 0.119
Bi2 0.410 0.184 0.118
I1 0.031 0.244 0.659
I2 0.135 0.199 0.827
I3 0.193 0.238 0.526
I4 0.232 0.316 0.257
I5 0.294 0.177 0.985
I6 0.333 0.267 0.716
I7 0.391 0.301 0.412
I8 0.472 0.200 0.820
O1 0.008 0.052 0.311
O2 0.012 0.490 0.866
O3 0.053 0.476 0.573
O4 0.059 0.002 0.099
O5 0.100 0.397 0.752
O6 0.103 0.174 0.944
O7 0.114 0.087 0.282
O8 0.148 0.435 0.495
O9 0.167 0.046 0.621
O10 0.184 0.441 0.196
O11 0.189 0.048 0.410
O12 0.232 0.489 0.376
O13 0.258 0.015 0.068
O14 0.269 0.477 0.178
O15 0.291 0.005 0.866
O16 0.338 0.441 0.836
O17 0.342 0.051 0.041
O18 0.358 0.462 0.623
O19 0.377 0.064 0.744
O20 0.413 0.431 0.967
O21 0.423 0.323 0.294
O22 0.427 0.092 0.483
O23 0.468 0.100 0.684
O24 0.483 0.328 0.083

# 2
## Rb2AgBiI6 (PBE)

Data for Rb2AgBiI6 after structural relaxation.

Output
* calculated formation energy: -1040 meV/atom
* uncorrected energy: -2.595 eV per atom

Unit cell a=12.198 b=12.198 c=12.198 alpha=90.00 beta=90.00 gamma=90.00
Space group Fm-3m (No. 225)
Asymmetric unit:
Rb1 0.250 0.250 0.250
Ag1 0.000 0.000 0.000
Bi1 0.000 0.000 0.500
I1 0.000 0.000 0.247

# 3
## Ag25Bi3O18 (PBE)

Data for Ag25Bi3O18 after structural relaxation.

Output
* calculated formation energy: -552 meV/atom
* uncorrected energy: -4.013 eV per atom

Unit cell a=11.7457 b=11.7457 c=6.4112 alpha=90.00 beta=90.00 gamma=120.00
Space group P-3 (No. 147)
Asymmetric unit:
Ag1 0.0000 0.0000 0.0000
Ag2 0.0000 0.5000 0.0000
Ag3 0.0000 0.5000 0.5000
Ag4 0.0208 0.7500 0.1555
Ag5 0.0482 0.3047 0.3393
Ag6 0.2350 0.7509 0.7524
Bi1 0.0000 0.0000 0.5000
Bi2 0.3333 0.6667 0.2408
O1 0.0776 0.9047 0.7067
O2 0.1603 0.6893 0.0606
O3 0.1825 0.5063 0.4512